1.
VASP calculation (GGA+U) on crystalline Mn5Cr2O12 at its relaxed geometry.

Cell lengths 5.173, 5.173, 9.858 Å; angles 83.22, 83.22, 121.74 degrees
Positions (direct):
Mn: 0.326 0.674 0.500
Mn: 0.524 0.476 0.771
Mn: 0.524 0.476 0.229
Mn: 0.668 0.332 0.500
Mn: 0.320 0.680 0.000
Cr: 0.003 0.997 0.000
Cr: 0.996 0.004 0.500
O: 0.139 0.404 0.874
O: 0.596 0.861 0.126
O: 0.712 0.692 0.389
O: 0.308 0.288 0.611
O: 0.360 0.046 0.897
O: 0.954 0.640 0.103
O: 0.053 0.392 0.400
O: 0.608 0.947 0.600
O: 0.711 0.777 0.884
O: 0.223 0.289 0.116
O: 0.394 0.089 0.386
O: 0.911 0.606 0.614

Properties
energy with MP2020 corrections	-8.455	eV/atom
total magnetic moment	1.21	μB/atom
formation energy from the elements	-183.6	kJ per mole of atoms
energy relative to the lowest polymorph listed for this composition	0	meV/atom

---

2.
VASP calculation (GGA+U) on crystalline MgVBr2O at its relaxed geometry.

Cell lengths 4.234, 3.826, 7.733 Å; angles 104.43, 112.00, 89.96 degrees
Positions (direct):
Mg: 0.169 0.670 0.333
V: 0.004 0.984 0.967
Br: 0.365 0.849 0.702
Br: 0.646 0.164 0.325
O: 0.011 0.529 0.056

Properties
energy with MP2020 corrections	-5.194	eV/atom
total magnetic moment	0.60	μB/atom
formation energy from the elements	-136.3	kJ per mole of atoms
energy relative to the lowest polymorph listed for this composition	188	meV/atom

---

3.
VASP calculation (GGA+U) on crystalline Li9Mn7O16 at its relaxed geometry.

Cell lengths 5.342, 5.744, 9.904 Å; angles 98.34, 99.05, 90.00 degrees
Positions (direct):
Li: 0.127 0.192 0.750
Li: 0.378 0.061 0.244
Li: 0.622 0.939 0.756
Li: 0.633 0.440 0.761
Li: 0.873 0.317 0.250
Li: 0.127 0.683 0.750
Li: 0.367 0.560 0.239
Li: 0.873 0.808 0.250
Li: 0.000 0.500 0.000
Mn: 0.000 0.000 0.000
Mn: 0.500 0.749 0.000
Mn: 0.249 0.874 0.497
Mn: 0.750 0.626 0.503
Mn: 0.250 0.374 0.497
Mn: 0.500 0.251 0.000
Mn: 0.751 0.126 0.503
O: 0.787 0.215 0.897
O: 0.086 0.095 0.379
O: 0.332 0.971 0.883
O: 0.340 0.471 0.884
O: 0.590 0.346 0.384
O: 0.787 0.733 0.897
O: 0.086 0.594 0.378
O: 0.589 0.846 0.384
O: 0.411 0.154 0.616
O: 0.668 0.029 0.117
O: 0.914 0.905 0.621
O: 0.914 0.406 0.622
O: 0.213 0.267 0.103
O: 0.410 0.654 0.616
O: 0.660 0.529 0.116
O: 0.213 0.785 0.103

Properties
energy with MP2020 corrections	-7.157	eV/atom
total magnetic moment	0.81	μB/atom
formation energy from the elements	-206.6	kJ per mole of atoms
energy relative to the lowest polymorph listed for this composition	3	meV/atom